# CaLaMg6

A relaxed structure of CaLaMg6 (PBE, the Materials Project).

Computed properties:
The calculated total energy is -32.69 eV/cell. The formation energy comes out at 0.02 eV per atom.

a b c (Å): 5.353 7.316 11.372
angles (deg): 90.00 90.00 90.00
Atoms (fractional coordinates):
Mg: 0.000 0.000 0.843
Mg: 0.000 0.749 0.581
Mg: 0.500 0.243 0.916
Mg: 0.500 0.757 0.916
Mg: 0.500 0.743 0.416
Mg: 0.000 0.751 0.081
Mg: 0.000 0.251 0.581
Mg: 0.000 0.500 0.343
Mg: 0.000 0.249 0.081
Mg: 0.000 0.000 0.347
Mg: 0.000 0.500 0.847
Mg: 0.500 0.257 0.416
La: 0.500 0.500 0.155
La: 0.500 0.000 0.655
Ca: 0.500 0.500 0.662
Ca: 0.500 0.000 0.162